# KAgF4

KAgF4 after structural relaxation (PBE-GGA, the Materials Project database).

Cell lengths 6.0549, 6.0549, 11.7498 Å; angles 90.00, 90.00, 90.00 degrees
Space group I4/mcm (No. 140)
Unique sites:
K (0.0000, 0.0000, 0.2500)
Ag (0.0000, 0.5000, 0.0000)
F (0.1643, 0.3357, 0.1162)

Properties
- uncorrected energy (eV per atom) = -3.66
- V (Å³ per atom) = 17.9

***

# HoSi3Ni5

HoSi3Ni5 after structural relaxation (PBE-GGA, the Materials Project database).

Cell lengths 18.6240, 3.7667, 6.6923 Å; angles 90.00, 90.00, 90.00 degrees
Space group Pnma (No. 62)
Unique sites:
Ho (0.1436, 0.2500, 0.1221)
Si (0.0756, 0.7500, 0.8469)
Si (0.0846, 0.7500, 0.4130)
Si (0.2373, 0.2500, 0.6218)
Ni (0.0062, 0.7500, 0.1316)
Ni (0.0138, 0.2500, 0.3811)
Ni (0.1139, 0.2500, 0.6442)
Ni (0.2013, 0.7500, 0.8145)
Ni (0.2052, 0.7500, 0.4293)

Properties
- uncorrected energy (eV per atom) = -6.25
- M_tot (Bohr magnetons per cell) = 0.004
- V (Å³ per atom) = 13.0

***

# LiHo2CuSi4O12

LiHo2CuSi4O12 after structural relaxation (PBE-GGA, the Materials Project database).

Cell lengths 5.2031, 7.1257, 7.7671 Å; angles 64.45, 85.86, 76.40 degrees
Space group P1 (No. 1)
Unique sites:
Li (0.0000, 0.0000, 0.0000)
Ho (0.4948, 0.0230, 0.9725)
Ho (0.5317, 0.5878, 0.8355)
Cu (0.5095, 0.8014, 0.4105)
Si (0.0730, 0.6094, 0.1919)
Si (0.0885, 0.4020, 0.6256)
Si (0.9346, 0.2072, 0.1978)
Si (0.9589, 0.9851, 0.6313)
O (0.0463, 0.1465, 0.7173)
O (0.2003, 0.4637, 0.4088)
O (0.2016, 0.0418, 0.1833)
O (0.2285, 0.8218, 0.6226)
O (0.2917, 0.7244, 0.0429)
O (0.3203, 0.3681, 0.7744)
O (0.7147, 0.2319, 0.0423)
O (0.7301, 0.8885, 0.7767)
O (0.8092, 0.5626, 0.6199)
O (0.8130, 0.7943, 0.1821)
O (0.8277, 0.1369, 0.4145)
O (0.9804, 0.4522, 0.1138)

Properties
- M_tot (Bohr magnetons per cell) = 0.000
- V (Å³ per atom) = 12.6
- relative energy among the computed polymorphs (meV/atom) = 45

***

# MgSi2

MgSi2 after structural relaxation (PBE-GGA, the Materials Project database).

Cell lengths 24.4969, 3.7415, 5.3865 Å; angles 90.00, 102.35, 90.00 degrees
Space group Cm (No. 8)
Unique sites:
Mg (0.0000, 0.0000, 0.0000)
Mg (0.0735, 0.0000, 0.5593)
Mg (0.2714, 0.5000, 0.2971)
Mg (0.3841, 0.0000, 0.6437)
Si (0.1150, 0.0000, 0.1316)
Si (0.1274, 0.5000, 0.8889)
Si (0.1997, 0.0000, 0.4439)
Si (0.2086, 0.5000, 0.7167)
Si (0.3097, 0.5000, 0.8374)
Si (0.3405, 0.0000, 0.1051)
Si (0.4397, 0.0000, 0.2127)
Si (0.4614, 0.5000, 0.4903)

Properties
- M_tot (Bohr magnetons per cell) = 0.012
- V (Å³ per atom) = 20.1
- relative energy among the computed polymorphs (meV/atom) = 74

***

# EuGaSn

EuGaSn after structural relaxation (PBE-GGA, the Materials Project database).

Cell lengths 4.5803, 4.5803, 17.9296 Å; angles 90.00, 90.00, 120.00 degrees
Space group P6_3/mmc (No. 194)
Unique sites:
Eu (0.0000, 0.0000, 0.0000)
Eu (0.0000, 0.0000, 0.2500)
Ga (0.3333, 0.6667, 0.1626)
Sn (0.3333, 0.6667, 0.6163)

Properties
- uncorrected energy (eV per atom) = -6.35
- V (Å³ per atom) = 27.1

***

# CeSiPt2

CeSiPt2 after structural relaxation (PBE-GGA, the Materials Project database).

Cell lengths 3.9930, 18.7780, 4.1330 Å; angles 90.00, 90.00, 90.00 degrees
Space group Cmcm (No. 63)
Unique sites:
Ce (0.0000, 0.1008, 0.2500)
Si (0.0000, 0.3247, 0.2500)
Pt (0.0000, 0.2488, 0.7500)
Pt (0.0000, 0.4511, 0.2500)

Properties
- uncorrected energy (eV per atom) = -6.96
- V (Å³ per atom) = 19.4